The following is a DFT calculation (PBE) of a geometry-optimized Zr2NiSe4 structure.

Lattice parameters (Å, degrees): 7.0996 7.0996 6.4488 116.61 116.61 30.59
Closest atoms and distances in Å follow each position.
Positions (direct):
Zr: 0.2476 0.2476 0.2499  6 Se 2.71-2.74
Zr: 0.7524 0.7524 0.7501  6 Se 2.71-2.74
Ni: 0.5000 0.5000 0.5000  6 Se 2.52-2.57
Se: 0.1138 0.1138 0.7806  2 Ni 2.57, 3 Zr 2.71-2.74
Se: 0.3871 0.3871 0.7159  1 Ni 2.52, 3 Zr 2.71
Se: 0.6129 0.6129 0.2841  1 Ni 2.52, 3 Zr 2.71
Se: 0.8862 0.8862 0.2194  2 Ni 2.57, 3 Zr 2.71-2.74

Summary:
ΔH_f (0 K) (eV/atom): -1.3408
Symmetry: No. 12
V (Å³/cell): 146.5